A.
Entry from the Materials Project: an optimized crystal structure of MgZnH20PtC4N4O12 (PBE). Values from VASP.

Output
Calculated density, Mg/m³: 2.25
Space-group type: No. 1

The structure in Quantum ESPRESSO input format:
```
&SYSTEM
  ibrav = 0, nat = 43, ntyp = 7
/
ATOMIC_SPECIES
O 16.00 O.upf
H 1.01 H.upf
N 14.01 N.upf
C 12.01 C.upf
Zn 65.41 Zn.upf
Pt 195.08 Pt.upf
Mg 24.30 Mg.upf
CELL_PARAMETERS angstrom
-7.5657 0.0092 -0.0031
0.0098 -7.9884 -0.0088
3.7810 3.9950 7.3382
ATOMIC_POSITIONS angstrom
O -2.3805 0.0108 3.6272
O -6.1984 -3.9824 1.7608
O 0.0320 -6.1572 0.0662
O -1.3574 -4.0013 1.7646
O 2.4352 -0.0119 5.8872
O -3.7776 -3.9876 5.2388
O -2.4299 0.0225 5.8813
O -1.3384 -3.9927 4.0291
O 1.3496 -3.9819 4.0284
O 0.0003 0.0002 2.1395
O -0.0198 -1.8352 0.0741
O -5.1850 0.0342 3.6303
H 0.0189 -6.7823 0.8378
H -4.6147 -5.4577 0.9281
H -2.9412 -2.5316 0.9494
H -4.6120 -2.5369 0.9503
H -3.7699 -2.7059 6.5806
H 0.8115 0.0054 2.7108
H -0.0153 -1.5443 4.4908
H 0.8304 1.3378 5.8956
H -3.7919 2.7238 6.5894
H -4.5772 -3.9843 4.6518
H -2.9774 -3.9906 4.6522
H -0.8204 1.3263 5.8556
H -2.9438 -5.4532 0.9327
H -0.8288 -1.3167 5.8648
H 0.0402 1.5480 4.5068
H -0.0083 -1.2116 0.8465
H -3.7817 -5.8510 2.2737
H -0.8107 0.0075 2.7115
H -3.7770 -2.1339 2.2908
H 0.8224 -1.3111 5.8507
N -0.0050 -1.7997 5.4816
N -3.7789 -5.9547 1.2521
N 0.0114 1.8136 5.4946
N -3.7779 -2.0329 1.2690
C -2.9885 0.0165 4.7181
C 0.7883 -3.9887 2.8891
C -4.5747 0.0163 4.7198
C -0.7778 -3.9947 2.8893
Zn 0.0056 -3.9970 0.1148
Pt -3.7836 0.0003 0.9919
Mg 0.0052 -3.9875 5.7349
```

***

B.
Entry from the Materials Project: an optimized crystal structure of MgZnH20PtC4N4O12 (PBE). Values from VASP.

Output
Calculated density, Mg/m³: 2.05
Space-group type: No. 23

The structure in Quantum ESPRESSO input format:
```
&SYSTEM
  ibrav = 0, nat = 43, ntyp = 7
/
ATOMIC_SPECIES
H 1.01 H.upf
O 16.00 O.upf
N 14.01 N.upf
Pt 195.08 Pt.upf
Mg 24.30 Mg.upf
Zn 65.41 Zn.upf
C 12.01 C.upf
CELL_PARAMETERS angstrom
3.3921 -2.7361 6.0695
-3.5288 6.2701 4.7987
-5.9118 -6.1711 -4.0773
ATOMIC_POSITIONS angstrom
H 0.1157 -1.0128 5.0974
H -5.4118 -0.5799 2.7687
H -0.6345 -0.4084 3.7660
H -4.2054 -0.7273 5.6562
H -4.8736 -3.1542 5.8996
H -6.2321 0.8737 3.8712
H -5.4125 -2.2306 3.0386
H 0.1794 -3.5074 2.9123
H -3.4909 -1.3060 6.9272
H -2.4945 2.8956 6.2795
H -1.1761 0.5180 0.8892
H -6.1544 -1.6316 1.7002
H -3.5602 -5.5227 0.5039
H -3.6029 4.8313 4.1931
H -1.8455 -1.9055 1.1379
H -1.7480 2.2884 7.6117
H -2.4444 -7.4694 2.5999
H -4.3058 -4.9264 -0.8337
H -2.5552 -1.3354 -0.1395
H -0.6326 -2.0606 4.0297
O -5.4342 1.3820 1.9796
O -0.2390 -0.0429 7.6517
O -4.2001 0.3917 4.2044
O -1.7215 -1.2678 0.3906
O -2.4157 1.7224 3.7879
O -0.6091 -4.0285 4.8042
O -2.7344 4.8585 3.7184
O -5.7997 -2.6117 -0.8741
O -1.8538 -3.0194 2.5937
O -4.3271 -1.3694 6.4004
O -3.6426 -4.3420 3.0164
O -0.7944 1.4116 1.0803
N -5.9793 -1.4425 2.6970
N -2.4280 2.9965 7.3015
N -3.6247 -5.6303 -0.5180
N -0.0651 -1.1980 4.1013
Pt 1.6961 -1.3681 3.0348
Mg -0.0683 1.7670 5.4341
Zn -1.7644 3.1350 2.3994
C -1.7554 -4.4652 4.5353
C -4.2894 1.8215 2.2506
C -3.5794 1.2524 3.5327
C -2.4729 -3.8829 3.2632
```

***

Energy relative to the most stable one, in meV/atom: A 0; B 83

***

A.
Entry from the Materials Project: an optimized crystal structure of NaPH3C2N3O4 (PBE). Values from VASP.

Output
Calculated density, Mg/m³: 1.87
Space-group type: No. 14

The structure in Quantum ESPRESSO input format:
```
&SYSTEM
  ibrav = 0, nat = 56, ntyp = 6
/
ATOMIC_SPECIES
N 14.01 N.upf
O 16.00 O.upf
Na 22.99 Na.upf
C 12.01 C.upf
H 1.01 H.upf
P 30.97 P.upf
CELL_PARAMETERS angstrom
12.6649 0.0000 0.0000
0.0000 7.2639 0.0000
0.0000 6.0935 7.2364
ATOMIC_POSITIONS angstrom
N 10.1610 10.7923 6.5192
N 8.8363 7.7456 2.9010
N 8.0090 2.8100 2.7057
N 10.9883 5.8567 6.3239
N 2.8518 4.5804 5.1550
N 2.5039 2.5650 0.7172
N 3.8286 5.6118 4.3354
N 3.4806 1.5337 1.5368
N 9.8131 8.7769 2.0814
N 9.1843 11.8237 5.6996
N 4.6559 10.5473 4.5307
N 1.6766 7.5006 0.9125
O 3.7234 6.4844 1.3694
O 6.1132 4.9348 3.0917
O 1.5483 5.9876 3.5934
O 0.3448 2.2115 2.0716
O 7.8807 4.3230 0.0249
O 5.9876 5.2582 5.6898
O 11.1166 7.3697 3.6431
O 8.9415 6.8730 5.8670
O 6.6773 8.0991 1.5466
O 12.3201 11.1458 5.1648
O 6.5517 8.4226 4.1447
O 2.6091 9.5311 4.9876
O 4.7841 9.0343 7.2116
O 0.2193 7.9815 6.7099
O 12.4456 5.3758 0.5265
O 10.0558 3.8262 2.2488
Na 0.4344 8.8392 4.4667
Na 6.7669 7.5648 6.3879
Na 12.2304 4.5181 2.7697
Na 5.8980 5.7925 0.8485
C 10.1439 7.8897 3.1356
C 8.8535 10.9364 6.7538
C 2.5210 5.4676 4.1008
C 3.3424 10.5098 4.8471
C 2.9901 7.4631 1.2288
C 9.6748 5.8943 6.0076
C 9.3225 2.8475 2.3894
C 3.8114 2.4209 0.4826
H 9.9034 9.6659 4.5927
H 9.0940 6.6192 0.9745
H 2.9650 4.3260 2.3046
H 5.1877 9.6783 4.3507
H 3.3674 7.3727 5.9228
H 11.5201 6.7257 6.5039
H 2.7615 3.6914 2.6437
H 9.6999 9.0313 4.9319
H 3.5709 6.7381 6.2619
H 1.1448 6.6316 0.7325
H 7.4772 3.6790 2.8857
H 9.2975 5.9846 1.3136
P 7.2926 8.5250 2.8486
P 11.7047 11.5717 6.4668
P 5.3723 4.8323 4.3878
P 0.9602 1.7856 0.7696
```

***

B.
Entry from the Materials Project: an optimized crystal structure of NaPH3C2N3O4 (PBE). Values from VASP.

Output
Calculated density, Mg/m³: 2.08
Space-group type: No. 14

The structure in Quantum ESPRESSO input format:
```
&SYSTEM
  ibrav = 0, nat = 56, ntyp = 6
/
ATOMIC_SPECIES
H 1.01 H.upf
N 14.01 N.upf
C 12.01 C.upf
O 16.00 O.upf
P 30.97 P.upf
Na 22.99 Na.upf
CELL_PARAMETERS angstrom
12.4715 0.0000 0.0000
0.0000 6.9759 0.0000
0.0000 5.2345 6.8704
ATOMIC_POSITIONS angstrom
H 4.7349 0.5046 0.0826
H 10.9707 9.0885 3.3526
H 8.6320 5.8503 2.6499
H 7.1742 3.1191 2.4484
H 5.2973 9.0913 4.4219
H 10.0753 8.4675 6.0851
H 1.5009 3.1218 3.5178
H 7.7366 11.7058 6.7878
H 11.5331 5.7363 5.8836
H 2.3962 3.7428 0.7853
H 3.8396 6.3600 4.2205
H 0.9384 6.4741 0.9867
N 2.4551 2.7197 0.7006
N 10.8493 4.9559 5.9133
N 3.7807 5.3370 4.1358
N 4.6136 9.8716 4.3922
N 3.8128 0.8533 0.3630
N 8.6587 11.3570 6.5074
N 10.0165 9.4906 6.1697
N 10.0486 8.7398 3.0722
N 8.6908 6.8734 2.7345
N 1.6222 7.2544 0.9570
N 7.8580 2.3387 2.4782
N 2.4230 3.4705 3.7981
C 8.7772 9.9818 6.4551
C 3.3493 9.4672 4.1133
C 3.6944 2.2286 0.4153
C 9.9301 7.3645 3.0199
C 9.5851 5.3604 6.1922
C 9.1222 2.7432 2.7570
C 2.8864 6.8499 0.6781
C 2.5414 4.8458 3.8505
O 0.2090 7.1545 6.3797
O 12.2626 5.0559 0.4907
O 5.9229 4.8724 5.5230
O 6.5486 7.3379 1.3474
O 7.7647 9.2805 6.6506
O 10.9426 6.6632 3.2154
O 6.4447 7.6731 3.9258
O 2.9873 8.2697 4.1251
O 9.4842 3.9406 2.7453
O 4.7068 2.9299 0.2198
O 1.5290 5.5471 3.6549
O 12.1587 9.9552 4.7826
O 9.2231 6.5579 6.1805
O 0.3129 2.2552 2.0878
O 6.0268 4.5372 2.9445
O 3.2484 5.6525 0.6899
P 5.2535 4.4710 4.2327
P 7.2180 7.7394 2.6377
P 11.4893 10.3566 6.0729
P 0.9822 1.8538 0.7975
Na 11.8114 4.5371 2.7353
Na 0.6601 7.6733 4.1350
Na 5.5756 5.0561 0.6999
Na 6.8959 7.1543 6.1705
```

***

Energy relative to the most stable one, in meV/atom: A 379; B 0

***

A.
Entry from the Materials Project: an optimized crystal structure of TmH9C5N2O8 (PBE). Values from VASP.

Output
Calculated density, Mg/m³: 2.54
Space-group type: No. 5

The structure in Quantum ESPRESSO input format:
```
&SYSTEM
  ibrav = 0, nat = 25, ntyp = 5
/
ATOMIC_SPECIES
C 12.01 C.upf
H 1.01 H.upf
N 14.01 N.upf
O 16.00 O.upf
Tm 168.93 Tm.upf
CELL_PARAMETERS angstrom
3.6408 5.5940 0.0000
-3.6408 5.5940 0.0000
0.0000 2.0042 6.3189
ATOMIC_POSITIONS angstrom
C -0.1280 6.5962 3.1595
C -1.7643 3.0243 0.2047
C -0.5784 2.3787 4.4704
C -1.7643 10.1681 6.1142
C -0.5784 10.8136 1.8485
H -0.0327 11.4796 1.1605
H -2.5320 5.0902 2.9318
H -0.2631 3.3618 2.6757
H 0.9732 6.5962 3.1595
H -0.0327 1.7128 5.1585
H -2.5320 8.1021 3.3871
H -2.1555 7.9506 0.8101
H -0.2631 9.8305 3.6432
H -2.1555 5.2417 5.5088
N 0.1325 10.3888 2.8797
N 0.1325 2.8035 3.4393
O -0.7217 6.2212 2.0967
O 1.8608 8.2759 4.6914
O -0.7217 6.9711 4.2222
O 1.5295 5.6407 5.5431
O -0.9819 3.8954 0.7175
O 1.5295 7.5516 0.7758
O 1.8608 4.9164 1.6275
O -0.9819 9.2969 5.6014
Tm 0.3578 5.5940 0.0000
```

***

B.
Entry from the Materials Project: an optimized crystal structure of TmH9C5N2O8 (PBE). Values from VASP.

Output
Calculated density, Mg/m³: 2.50
Space-group type: No. 20

The structure in Quantum ESPRESSO input format:
```
&SYSTEM
  ibrav = 0, nat = 50, ntyp = 5
/
ATOMIC_SPECIES
H 1.01 H.upf
O 16.00 O.upf
C 12.01 C.upf
N 14.01 N.upf
Tm 168.93 Tm.upf
CELL_PARAMETERS angstrom
5.6718 3.5881 -0.2202
-2.4586 3.4313 -7.4140
-6.9556 4.9946 4.6182
ATOMIC_POSITIONS angstrom
H 1.9290 5.9660 -3.7879
H 0.0018 8.6408 -5.2348
H 4.3427 2.7473 -0.1686
H -1.4746 5.2895 -5.8796
H -2.9959 7.7407 0.6681
H 0.0998 2.5565 -3.7586
H 0.6818 5.1886 -0.2791
H -4.6811 4.6807 -0.6060
H -1.3239 4.9045 2.1249
H 2.0066 4.7211 -5.0641
H -4.0158 8.3895 1.9809
H -0.2870 6.4750 -4.2711
H -1.4818 5.8022 -2.3159
H -5.3588 6.7482 3.2252
H -3.4555 5.5390 1.2551
H -4.4243 6.8255 -2.7369
H -0.1170 4.1693 -6.1739
H -4.9434 5.0320 2.9675
O 0.4690 3.3794 -1.1947
O -4.2860 8.7387 -2.0461
O -1.8624 5.0934 -0.4388
O -0.5323 3.1480 1.4821
O 2.4296 4.4685 -1.0430
O -6.0974 7.4415 -1.7481
O -3.0331 11.1537 -2.9157
O -0.4794 1.0058 -0.1092
O -3.3464 3.1799 1.0865
O -1.5711 2.0632 -2.6991
O -2.0567 7.2562 -1.0197
O -2.4012 9.8055 -0.3079
O -1.2102 10.1313 -4.5757
O 0.0845 8.1635 -2.6534
O -3.6857 3.4926 -1.9186
O -2.3606 7.5913 -4.0262
C -0.8345 1.9654 -3.7223
C -4.6525 4.2613 -1.6326
C 0.2068 5.6614 -4.8114
C -3.9492 6.3527 1.7954
C -4.9239 7.6488 -2.1902
C -1.7913 6.0438 -1.2785
C 2.0197 6.2041 1.9627
C -3.0608 7.5189 -5.0835
C 1.1815 4.3653 -0.8258
C 5.2770 3.3384 -0.2049
N 1.4687 5.4107 -4.5225
N -3.6529 7.5892 1.4460
N -0.5020 5.0005 -5.7056
N -4.7988 6.0278 2.7502
Tm -1.9564 9.2259 -2.4443
Tm -1.7861 2.7881 -0.5716
```

***

Energy relative to the most stable one, in meV/atom: A 10; B 0